Record 1
# UCl2O, optimized geometry, DFT PBE
data_UCl2O
_chemical_formula_sum 'U12 Cl24 O12'
_symmetry_space_group_name_H-M 'P b a m'
_symmetry_Int_Tables_number 55
_cell_length_a 15.284
_cell_length_b 17.984
_cell_length_c 3.990
_cell_angle_alpha 90.00
_cell_angle_beta 90.00
_cell_angle_gamma 90.00
loop_
_symmetry_equiv_pos_as_xyz
'x,y,z'
'-x,-y,-z'
'-x,-y,z'
'x,y,-z'
'x+1/2,-y+1/2,-z'
'-x+1/2,y+1/2,z'
'-x+1/2,y+1/2,-z'
'x+1/2,-y+1/2,z'
loop_
_atom_site_label
_atom_site_type_symbol
_atom_site_fract_x
_atom_site_fract_y
_atom_site_fract_z
U1 U 0.159 0.164 0.000
U2 U 0.164 0.749 0.500
U3 U 0.218 0.527 0.500
Cl1 Cl 0.030 0.783 0.000
Cl2 Cl 0.066 0.085 0.500
Cl3 Cl 0.071 0.617 0.500
Cl4 Cl 0.122 0.455 0.000
Cl5 Cl 0.139 0.281 0.500
Cl6 Cl 0.175 0.903 0.500
O1 O 0.214 0.734 0.000
O2 O 0.228 0.055 0.000
O3 O 0.240 0.148 0.500
# ΔH_f (0 K)   -2.488 eV/atom
# E_tot   -7.30 eV/atom
# Size of the total moment   2.0 μB/f.u.

---

Record 2
# Ac2AgPb, optimized geometry, DFT PBE
data_Ac2AgPb
_chemical_formula_sum 'Ac8 Ag4 Pb4'
_symmetry_space_group_name_H-M 'F m -3 m'
_symmetry_Int_Tables_number 225
_symmetry_space_group_name_Hall '-F 4 2 3'
_cell_length_a 8.182
_cell_length_b 8.182
_cell_length_c 8.182
_cell_angle_alpha 90.00
_cell_angle_beta 90.00
_cell_angle_gamma 90.00
loop_
_atom_site_label
_atom_site_type_symbol
_atom_site_fract_x
_atom_site_fract_y
_atom_site_fract_z
Ac1 Ac 0.250 0.250 0.250
Ag1 Ag 0.000 0.000 0.000
Pb1 Pb 0.000 0.000 0.500
# ΔH_f (0 K)   -0.387 eV/atom
# E_tot   -4.08 eV/atom

---

Record 3
# FeSe, optimized geometry, DFT PBE
data_FeSe
_chemical_formula_sum 'Fe2 Se2'
_symmetry_space_group_name_H-M 'P 4/n m m'
_symmetry_Int_Tables_number 129
_cell_length_a 3.689
_cell_length_b 3.689
_cell_length_c 5.854
_cell_angle_alpha 90.00
_cell_angle_beta 90.00
_cell_angle_gamma 90.00
loop_
_symmetry_equiv_pos_as_xyz
'x,y,z'
'-x,-y,-z'
'-y+1/2,x,z'
'y+1/2,-x,-z'
'-x+1/2,-y+1/2,z'
'x+1/2,y+1/2,-z'
'y,-x+1/2,z'
'-y,x+1/2,-z'
'x+1/2,-y,-z'
'-x+1/2,y,z'
'-y,-x,-z'
'y,x,z'
'-x,y+1/2,-z'
'x,-y+1/2,z'
'y+1/2,x+1/2,-z'
'-y+1/2,-x+1/2,z'
loop_
_atom_site_label
_atom_site_type_symbol
_atom_site_fract_x
_atom_site_fract_y
_atom_site_fract_z
Fe1 Fe 0.250 0.750 0.000
Se1 Se 0.250 0.250 0.235
# ΔH_f (0 K)   -0.508 eV/atom
# E_tot   -6.25 eV/atom

---

The highest ΔH_f (0 K) belongs to which entry? Ac2AgPb

---

Which formula does entry 1 have? UCl2O

---

Which formula does entry 1 have? UCl2O